(1)
A relaxed structure of Bi2Ir2O7, computed with r2SCAN.

Geometry as POSCAR:
```
Bi2Ir2O7
1.0
-6.479 1.238 3.162
-1.542 6.617 2.710
-4.938 4.253 -3.322
Bi Ir O
4 4 14
Cartesian
-2.391 4.822 1.674
-4.089 3.640 -1.342
-1.620 1.514 0.319
-4.859 2.133 1.900
-8.100 7.568 1.594
-5.631 5.441 3.255
-7.328 4.259 0.239
-4.860 6.949 0.013
-9.719 7.086 2.694
-5.841 5.308 -0.630
-3.240 3.027 0.637
-10.358 9.827 3.817
-7.674 9.314 2.507
-11.765 8.848 1.318
0.000 0.000 0.000
-6.479 4.059 2.057
-6.480 8.050 0.493
-9.720 11.077 1.131
-7.118 6.800 3.180
-8.525 5.821 0.680
-9.081 8.335 0.008
-4.434 6.287 1.870
```

Results
SG: Fd-3m, No. 227
magnetization: 0.000 μB per atom
energy: -25.086 eV/atom



(2)
A relaxed structure of HoTl, computed with r2SCAN.

Geometry as POSCAR:
```
HoTl
1.0
3.747 0.000 0.000
0.000 3.747 0.000
0.000 0.000 3.747
Tl Ho
1 1
Cartesian
1.874 1.874 1.874
0.000 0.000 0.000
```

Results
SG: Pm-3m, No. 221
magnetization: 0.000 μB per atom
energy: -43.459 eV/atom



(3)
A relaxed structure of YSnF7, computed with r2SCAN.

Geometry as POSCAR:
```
YSnF7
1.0
5.726 0.000 0.000
0.000 5.950 -0.004
0.000 1.851 7.925
F Sn Y
14 2 2
Cartesian
4.326 2.586 4.123
0.139 6.851 5.569
0.153 1.124 2.346
1.464 5.216 3.797
2.815 3.959 5.831
3.016 6.677 5.575
0.098 4.014 5.882
1.496 5.553 7.719
2.961 3.788 2.038
5.678 3.843 2.090
4.359 2.249 0.201
3.002 0.951 2.351
2.695 1.996 7.816
5.558 5.806 0.104
4.353 2.379 2.167
1.490 5.423 5.753
4.319 2.421 6.419
1.456 5.381 1.501
```

Results
SG: P2_1, No. 4
magnetization: 0.000 μB per atom
energy: -10.913 eV/atom



(4)
A relaxed structure of Dy6Cu23, computed with r2SCAN.

Geometry as POSCAR:
```
Dy6Cu23
1.0
-4.651 -2.573 6.635
-8.474 0.631 -0.250
-4.768 -7.012 -0.615
Cu Dy
23 6
Cartesian
0.000 0.000 0.000
-6.509 -0.779 0.581
-13.270 -4.287 5.374
-2.384 -3.506 -0.308
-3.265 -3.105 1.953
-4.623 -4.667 0.395
-5.824 -2.915 1.878
-4.237 0.315 -0.125
-4.710 -4.792 3.010
-13.330 -6.545 1.685
-2.326 -1.287 3.317
-13.474 -6.817 5.895
-12.069 -6.040 3.892
-14.628 -5.849 3.816
-4.384 -0.797 2.064
-6.563 -0.971 3.192
-6.621 -3.190 -0.432
-15.696 -7.855 5.061
-4.564 -2.409 4.084
-13.509 -8.157 3.706
-4.420 -2.137 -0.126
-2.197 -1.099 0.708
-11.384 -8.175 5.188
-10.790 -5.294 1.275
-8.744 -2.285 1.540
-10.740 -3.389 4.387
-7.103 -3.660 4.494
-7.153 -5.565 1.383
-9.149 -6.669 4.230
```

Results
SG: Fm-3m, No. 225
magnetization: 0.000 μB per atom
energy: -15.417 eV/atom



(5)
A relaxed structure of TmNbRu2, computed with r2SCAN.

Geometry as POSCAR:
```
TmNbRu2
1.0
-0.015 1.616 4.288
-3.903 1.517 1.861
-2.025 -2.394 3.342
Nb Tm Ru
1 1 2
Cartesian
-1.486 0.185 2.372
-4.458 0.554 7.117
0.000 0.000 0.000
-2.972 0.370 4.745
```

Results
SG: Fm-3m, No. 225
magnetization: 0.000 μB per atom
energy: -28.121 eV/atom



(6)
A relaxed structure of PrNiBi, computed with r2SCAN.

Geometry as POSCAR:
```
PrNiBi
1.0
-4.471 -0.969 1.049
-2.677 3.242 2.084
-3.472 2.065 -2.389
Pr Bi Ni
1 1 1
Cartesian
-5.310 2.169 0.372
0.000 0.000 0.000
-2.655 1.085 0.186
```

Results
SG: F-43m, No. 216
magnetization: 0.000 μB per atom
energy: -34.004 eV/atom



(7)
A relaxed structure of NdGa6Fe6, computed with r2SCAN.

Geometry as POSCAR:
```
NdGa6Fe6
1.0
-2.512 4.322 4.335
2.513 -4.330 4.342
2.514 4.331 -4.342
Nd Fe Ga
1 6 6
Cartesian
0.000 0.000 0.000
-1.256 2.161 2.167
1.257 2.162 2.167
1.256 -2.165 2.171
0.000 2.218 4.337
1.257 2.165 -2.171
2.513 2.106 -0.002
0.001 -0.003 3.020
0.000 2.907 -0.001
0.001 4.325 2.643
2.513 4.326 1.315
2.513 -0.002 1.692
2.514 1.416 4.335
```

Results
SG: C2/m, No. 12
magnetization: 1.029 μB per atom
energy: -14.442 eV/atom



(8)
A relaxed structure of LuHg, computed with r2SCAN.

Geometry as POSCAR:
```
LuHg
1.0
-0.728 3.448 0.784
-1.205 0.510 -3.364
-3.324 -0.940 1.048
Hg Lu
1 1
Cartesian
0.000 0.000 0.000
-2.629 1.509 -0.766
```

Results
SG: Pm-3m, No. 221
magnetization: 0.000 μB per atom
energy: -44.272 eV/atom



(9)
A relaxed structure of TeS7Cl2, computed with r2SCAN.

Geometry as POSCAR:
```
TeS7Cl2
1.0
-4.499 -7.223 -2.993
3.919 -5.193 6.643
-10.261 2.933 8.346
S Cl Te
28 8 4
Cartesian
-3.851 -9.431 3.205
-7.674 -0.979 7.101
-9.082 -6.311 2.724
-4.216 -2.883 11.451
-2.212 -6.799 4.295
-5.227 -3.564 3.655
-6.990 -0.053 8.791
0.781 -1.862 2.291
-6.625 -6.601 0.545
-9.713 -4.557 10.975
-4.844 -5.989 1.344
-4.986 -3.969 1.636
-10.682 -2.435 7.548
-11.622 -7.622 9.705
1.829 -3.857 5.771
-1.128 -4.927 1.021
-3.668 -6.238 8.002
-7.601 -9.112 7.019
-3.239 -0.372 4.977
-1.759 -3.173 9.272
-3.167 -8.505 4.895
-12.670 -5.627 6.225
-5.855 -5.514 10.360
-8.629 -2.685 7.701
-5.614 -5.920 8.341
-0.159 -7.049 4.448
-5.997 -3.495 10.652
-7.173 -3.246 3.994
-0.554 -5.635 7.635
-4.634 -2.899 7.164
-1.732 -3.262 3.678
-10.287 -3.849 4.361
-10.934 0.939 7.373
0.093 -10.423 4.623
-6.207 -6.585 4.832
-9.109 -6.222 8.318
-9.425 -7.016 10.708
-1.416 -2.468 1.288
-8.271 -5.309 4.854
-2.570 -4.175 7.142
```

Results
SG: Pnma, No. 62
magnetization: 0.000 μB per atom
energy: -9.566 eV/atom



Number 1: V 276.8 Å³ per cell. Number 2: V 52.6 Å³ per cell. Number 3: V 270.1 Å³ per cell. Number 4: V 434.5 Å³ per cell. Number 5: V 68.1 Å³ per cell. Number 6: V 73.1 Å³ per cell. Number 7: V 188.7 Å³ per cell. Number 8: V 47.0 Å³ per cell. Number 9: V 1136.4 Å³ per cell.